Material: K2PbCl6
Method: DFT, GGA-PBE
State: relaxed

Results
As for the volume: 31.303 A^3/atom. Its total energy is -28.5 eV/f.u.

Unit cell a=7.3537 b=7.3456 c=12.7029 alpha=55.20 beta=90.00 gamma=90.00
Positions (direct):
Cl1 0.7931 0.3063 0.9752
Cl2 0.2069 0.6937 0.0248
Cl3 0.4966 0.8038 0.7442
Cl4 0.0034 0.8038 0.2442
Cl5 0.7069 0.3063 0.4752
Cl6 0.7832 0.7737 0.5221
Cl7 0.2931 0.6937 0.5248
Cl8 0.2832 0.2263 0.9779
Cl9 0.5034 0.1962 0.2558
Cl10 0.9966 0.1962 0.7558
Cl11 0.7168 0.7737 0.0221
Cl12 0.2168 0.2263 0.4779
K1 0.0400 0.7357 0.7549
K2 0.4600 0.7357 0.2549
K3 0.9600 0.2643 0.2451
K4 0.5400 0.2643 0.7451
Pb1 0.0000 0.0000 0.0000
Pb2 0.5000 0.0000 0.5000



Material: KMg14Mo
Method: DFT, GGA-PBE
State: relaxed

Results
Its total moment is 0.69 μB per cell. As for the volume: 23.321 A^3/atom. Its total energy is -30.9 eV/f.u. The value obtained for the energy above the lowest structure with this stoichiometry is 0 meV/atom.

Unit cell a=6.4902 b=6.4902 c=10.2288 alpha=90.00 beta=90.00 gamma=120.00
Positions (direct):
Mg1 0.3309 0.6618 0.3980
Mg2 0.3309 0.6618 0.8520
Mg3 0.6621 0.3241 0.1250
Mg4 0.6694 0.3387 0.6250
Mg5 0.3309 0.1691 0.8520
Mg6 0.8382 0.1691 0.8520
Mg7 0.1613 0.8306 0.6250
Mg8 0.3309 0.1691 0.3980
Mg9 0.8382 0.1691 0.3980
Mg10 0.1759 0.8379 0.1250
Mg11 0.8333 0.6667 0.3688
Mg12 0.8333 0.6667 0.8812
Mg13 0.6621 0.8379 0.1250
Mg14 0.6694 0.8306 0.6250
K1 0.1667 0.3333 0.1250
Mo1 0.1667 0.3333 0.6250



Material: Ce4Ni3Pt
Method: DFT, GGA-PBE
State: relaxed

Results
Its total moment is 1.61 μB per cell. As for the volume: 21.170 A^3/atom. Its total energy is -51.1 eV/f.u.

Unit cell a=3.7071 b=4.2914 c=10.6455 alpha=90.00 beta=90.00 gamma=90.00
Positions (direct):
Ce1 0.5000 0.5000 0.3741
Ce2 0.5000 0.0000 0.6377
Ce3 0.0000 0.0000 0.1375
Ce4 0.0000 0.5000 0.8554
Pt1 0.5000 0.5000 0.0870
Ni1 0.0000 0.5000 0.5794
Ni2 0.0000 0.0000 0.4207
Ni3 0.5000 0.0000 0.9082



Material: Zn2BIr2
Method: DFT, GGA-PBE
State: relaxed

Results
As for the volume: 13.043 A^3/atom. Its total energy is -28.4 eV/f.u.

Unit cell a=13.4677 b=13.4677 c=10.2940 alpha=90.00 beta=90.00 gamma=167.90
Positions (direct):
Zn1 0.0886 0.9114 0.1198
Zn2 0.0000 0.0000 0.5000
Zn3 0.1803 0.8197 0.2500
Zn4 0.9114 0.0886 0.8802
Zn5 0.7608 0.2392 0.3891
Zn6 0.7608 0.2392 0.1109
Zn7 0.9114 0.0886 0.6198
Zn8 0.2392 0.7608 0.6109
Zn9 0.0886 0.9114 0.3802
Zn10 0.2392 0.7608 0.8891
Zn11 0.0000 0.0000 0.0000
Zn12 0.8197 0.1803 0.7500
B1 0.1385 0.8615 0.8937
B2 0.1385 0.8615 0.6063
B3 0.0411 0.9589 0.7500
B4 0.9589 0.0411 0.2500
B5 0.8615 0.1385 0.3937
B6 0.8615 0.1385 0.1063
Ir1 0.3314 0.6686 0.5306
Ir2 0.3287 0.6713 0.2500
Ir3 0.5747 0.4253 0.6091
Ir4 0.5191 0.4809 0.2500
Ir5 0.4809 0.5191 0.7500
Ir6 0.6713 0.3287 0.7500
Ir7 0.4253 0.5747 0.3909
Ir8 0.3314 0.6686 0.9694
Ir9 0.5747 0.4253 0.8909
Ir10 0.4253 0.5747 0.1091
Ir11 0.6686 0.3314 0.0306
Ir12 0.6686 0.3314 0.4694



Material: ZnSn3P3O13
Method: DFT, GGA-PBE
State: relaxed

Results
Its total moment is 0.00 μB per cell. As for the volume: 15.032 A^3/atom. Its total energy is -129.0 eV/f.u.

Unit cell a=6.6001 b=8.2553 c=11.0716 alpha=85.35 beta=90.00 gamma=90.00
Positions (direct):
Sn1 0.5000 0.0000 0.0000
Sn2 0.2500 0.6555 0.2226
Sn3 0.2500 0.2143 0.4448
Sn4 0.7500 0.3445 0.7774
Sn5 0.7500 0.7857 0.5552
Sn6 0.0000 0.0000 0.0000
P1 0.7500 0.6535 0.8756
P2 0.2500 0.7886 0.5025
P3 0.7500 0.2114 0.4975
P4 0.2500 0.3465 0.1244
P5 0.2500 0.2752 0.7635
P6 0.7500 0.7248 0.2365
O1 0.7500 0.4814 0.9519
O2 0.0670 0.7581 0.5898
O3 0.2500 0.5186 0.0481
O4 0.7500 0.0411 0.5670
O5 0.9296 0.6028 0.2160
O6 0.5704 0.6028 0.2160
O7 0.7500 0.3415 0.5928
O8 0.4538 0.2592 0.1043
O9 0.4330 0.7581 0.5898
O10 0.2500 0.2116 0.6373
O11 0.5462 0.7408 0.8957
O12 0.7500 0.8697 0.1412
O13 0.2500 0.1303 0.8588
O14 0.0462 0.2592 0.1043
O15 0.7500 0.7884 0.3627
O16 0.2500 0.4009 0.2582
O17 0.9330 0.2419 0.4102
O18 0.5670 0.2419 0.4102
O19 0.2500 0.6585 0.4072
O20 0.2500 0.8642 0.1262
O21 0.4296 0.3972 0.7840
O22 0.7500 0.1358 0.8738
O23 0.2500 0.9589 0.4330
O24 0.0704 0.3972 0.7840
O25 0.9538 0.7408 0.8957
O26 0.7500 0.5991 0.7418
Zn1 0.2500 0.5887 0.8715
Zn2 0.7500 0.4113 0.1285



Material: OsC4Cl2O4
Method: DFT, GGA-PBE
State: relaxed

Results
Its total moment is 0.00 μB per cell. As for the volume: 18.522 A^3/atom. Its total energy is -79.6 eV/f.u. The value obtained for the energy above the lowest structure with this stoichiometry is 0 meV/atom.

Unit cell a=6.1694 b=6.1694 c=11.8166 alpha=86.48 beta=86.48 gamma=114.24
Positions (direct):
O1 0.0783 0.6341 0.5933
O2 0.3659 0.9217 0.9067
O3 0.0105 0.1403 0.8920
O4 0.9895 0.8597 0.1080
O5 0.8597 0.9895 0.6080
O6 0.6341 0.0783 0.0933
O7 0.1403 0.0105 0.3920
O8 0.9217 0.3659 0.4067
Cl1 0.2701 0.4730 0.1339
Cl2 0.5270 0.7299 0.3661
Cl3 0.4730 0.2701 0.6339
Cl4 0.7299 0.5270 0.8661
C1 0.1684 0.2975 0.8425
C2 0.3944 0.7911 0.8480
C3 0.8316 0.7025 0.1575
C4 0.7025 0.8316 0.6575
C5 0.2089 0.6056 0.6520
C6 0.7911 0.3944 0.3480
C7 0.2975 0.1684 0.3425
C8 0.6056 0.2089 0.1520
Os1 0.4306 0.5694 0.7500
Os2 0.5694 0.4306 0.2500



Material: Cu2H2Se2O7
Method: DFT, GGA-PBE
State: relaxed

Results
Its total moment is 0.06 μB per cell. As for the volume: 12.414 A^3/atom. Its total energy is -66.5 eV/f.u.

Unit cell a=7.6380 b=8.5512 c=10.6313 alpha=68.38 beta=90.00 gamma=90.00
Positions (direct):
O1 0.1260 0.8757 0.6769
O2 0.3540 0.4611 0.4024
O3 0.7017 0.8386 0.0593
O4 0.4825 0.9709 0.3801
O5 0.3740 0.8757 0.1769
O6 0.5217 0.3992 0.2108
O7 0.0217 0.6008 0.2892
O8 0.0987 0.8710 0.3714
O9 0.8540 0.5389 0.0976
O10 0.6819 0.3226 0.4475
O11 0.9013 0.1290 0.6286
O12 0.6260 0.1243 0.8231
O13 0.5175 0.0291 0.6199
O14 0.4013 0.8710 0.8714
O15 0.6460 0.5389 0.5976
O16 0.7983 0.8386 0.5593
O17 0.5987 0.1290 0.1286
O18 0.1460 0.4611 0.9024
O19 0.4783 0.6008 0.7892
O20 0.2017 0.1614 0.4407
O21 0.9825 0.0291 0.1199
O22 0.1819 0.6774 0.0525
O23 0.0175 0.9709 0.8801
O24 0.2983 0.1614 0.9407
O25 0.3181 0.6774 0.5525
O26 0.8740 0.1243 0.3231
O27 0.9783 0.3992 0.7108
O28 0.8181 0.3226 0.9475
Se1 0.0981 0.0589 0.7147
Se2 0.9019 0.9411 0.2853
Se3 0.5981 0.9411 0.7853
Se4 0.4019 0.0589 0.2147
Se5 0.4383 0.5126 0.6710
Se6 0.9383 0.4874 0.8290
Se7 0.5617 0.4874 0.3290
Se8 0.0617 0.5126 0.1710
Cu1 0.7903 0.3419 0.6106
Cu2 0.2903 0.6581 0.8894
Cu3 0.2097 0.6581 0.3893
Cu4 0.8022 0.0791 0.9730
Cu5 0.3022 0.9209 0.5270
Cu6 0.7097 0.3419 0.1106
Cu7 0.6978 0.0791 0.4730
Cu8 0.1978 0.9209 0.0270
H1 0.9133 0.8270 0.6035
H2 0.7413 0.7277 0.5746
H3 0.5867 0.8270 0.1035
H4 0.7587 0.7277 0.0746
H5 0.2413 0.2723 0.9254
H6 0.2587 0.2723 0.4254
H7 0.0867 0.1730 0.3965
H8 0.4133 0.1730 0.8965



Material: AlP3O9
Method: DFT, GGA-PBE
State: relaxed

Results
Its total moment is 0.20 μB per cell. As for the volume: 12.986 A^3/atom. Its total energy is -95.1 eV/f.u. The value obtained for the energy above the lowest structure with this stoichiometry is 10 meV/atom.

Unit cell a=12.0608 b=12.0608 c=12.0608 alpha=109.47 beta=109.47 gamma=109.47
Positions (direct):
P1 0.5707 0.2824 0.4511
P2 0.2176 0.7883 0.1686
P3 0.7117 0.9293 0.3804
P4 0.1196 0.0489 0.3314
P5 0.0489 0.3314 0.1196
P6 0.9511 0.7824 0.0707
P7 0.1686 0.2176 0.7883
P8 0.4293 0.2117 0.8804
P9 0.7824 0.0707 0.9511
P10 0.2824 0.4511 0.5707
P11 0.5489 0.6196 0.8314
P12 0.0707 0.9511 0.7824
P13 0.3314 0.1196 0.0489
P14 0.6196 0.8314 0.5489
P15 0.3804 0.7117 0.9293
P16 0.4511 0.5707 0.2824
P17 0.2883 0.7176 0.6686
P18 0.2117 0.8804 0.4293
P19 0.7883 0.1686 0.2176
P20 0.8314 0.5489 0.6196
P21 0.9293 0.3804 0.7117
P22 0.6686 0.2883 0.7176
P23 0.7176 0.6686 0.2883
P24 0.8804 0.4293 0.2117
O1 0.3063 0.5953 0.5849
O2 0.3086 0.5838 0.9289
O3 0.9254 0.5428 0.3449
O4 0.9289 0.3086 0.5838
O5 0.1549 0.3797 0.5711
O6 0.1174 0.4195 0.0746
O7 0.2248 0.3451 0.9162
O8 0.4254 0.8449 0.0428
O9 0.7248 0.4162 0.8451
O10 0.2111 0.9897 0.9047
O11 0.2786 0.6937 0.7889
O12 0.7786 0.2889 0.1937
O13 0.6203 0.6914 0.7752
O14 0.9151 0.5103 0.7214
O15 0.4195 0.0746 0.1174
O16 0.5838 0.9289 0.3086
O17 0.5849 0.3063 0.5953
O18 0.1551 0.6979 0.5805
O19 0.2214 0.0103 0.4151
O20 0.4289 0.0838 0.8086
O21 0.0838 0.8086 0.4289
O22 0.9195 0.6174 0.5746
O23 0.9047 0.2111 0.9897
O24 0.4047 0.4897 0.7111
O25 0.0711 0.8797 0.6549
O26 0.2752 0.1914 0.1203
O27 0.5953 0.5849 0.3063
O28 0.4572 0.3021 0.3826
O29 0.9572 0.8826 0.8021
O30 0.3449 0.9254 0.5428
O31 0.1914 0.1203 0.2752
O32 0.4162 0.8451 0.7248
O33 0.3797 0.5711 0.1549
O34 0.5711 0.1549 0.3797
O35 0.0428 0.4254 0.8449
O36 0.5746 0.9195 0.6174
O37 0.4151 0.2214 0.0103
O38 0.6937 0.7889 0.2786
O39 0.0805 0.1979 0.6551
O40 0.2889 0.1937 0.7786
O41 0.0746 0.1174 0.4195
O42 0.3021 0.3826 0.4572
O43 0.1203 0.2752 0.1914
O44 0.8021 0.9572 0.8826
O45 0.0103 0.4151 0.2214
O46 0.1937 0.7786 0.2889
O47 0.8451 0.7248 0.4162
O48 0.6979 0.5805 0.1551
O49 0.7752 0.6203 0.6914
O50 0.6551 0.0805 0.1979
O51 0.5428 0.3449 0.9254
O52 0.5805 0.1551 0.6979
O53 0.8063 0.0849 0.0953
O54 0.1979 0.6551 0.0805
O55 0.8086 0.4289 0.0838
O56 0.7111 0.4047 0.4897
O57 0.6549 0.0711 0.8797
O58 0.8826 0.8021 0.9572
O59 0.9162 0.2248 0.3451
O60 0.9897 0.9047 0.2111
O61 0.3826 0.4572 0.3021
O62 0.8449 0.0428 0.4254
O63 0.3451 0.9162 0.2248
O64 0.7889 0.2786 0.6937
O65 0.8797 0.6549 0.0711
O66 0.5103 0.7214 0.9151
O67 0.7214 0.9151 0.5103
O68 0.6174 0.5746 0.9195
O69 0.0849 0.0953 0.8063
O70 0.4897 0.7111 0.4047
O71 0.0953 0.8063 0.0849
O72 0.6914 0.7752 0.6203
Al1 0.2883 0.2883 0.2883
Al2 0.2117 0.5000 0.0000
Al3 0.0000 0.7117 0.5000
Al4 0.5000 0.0000 0.2117
Al5 0.7883 0.7883 0.7883
Al6 0.7117 0.5000 0.0000
Al7 0.0000 0.2117 0.5000
Al8 0.5000 0.0000 0.7117



Material: BaSiAu
Method: DFT, GGA-PBE
State: relaxed

Results
As for the volume: 27.898 A^3/atom. Its total energy is -12.4 eV/f.u.

Unit cell a=4.3887 b=4.3887 c=5.0177 alpha=90.00 beta=90.00 gamma=120.00
Positions (direct):
Ba1 0.6667 0.3333 0.0000
Au1 0.0000 0.0000 0.5000
Si1 0.3333 0.6667 0.5000



Material: KP4N7
Method: DFT, GGA-PBE
State: relaxed

Results
As for the volume: 12.041 A^3/atom. Its total energy is -87.0 eV/f.u.

Unit cell a=4.7048 b=9.9516 c=12.3438 alpha=90.00 beta=90.00 gamma=90.00
Positions (direct):
P1 0.2195 0.8430 0.0002
P2 0.2195 0.8430 0.4998
P3 0.2895 0.0883 0.1306
P4 0.2105 0.5883 0.3694
P5 0.7895 0.4117 0.8694
P6 0.2805 0.3430 0.4998
P7 0.7105 0.9117 0.8694
P8 0.2805 0.3430 0.0002
P9 0.7105 0.9117 0.6306
P10 0.7195 0.6570 0.9998
P11 0.7895 0.4117 0.6306
P12 0.7805 0.1570 0.5002
P13 0.7805 0.1570 0.9998
P14 0.2895 0.0883 0.3694
P15 0.2105 0.5883 0.1306
P16 0.7195 0.6570 0.5002
N1 0.3138 0.4381 0.1030
N2 0.3783 0.8856 0.6077
N3 0.6862 0.5619 0.8970
N4 0.2024 0.1318 0.2500
N5 0.8138 0.0619 0.6030
N6 0.8783 0.6144 0.1077
N7 0.6217 0.1144 0.1077
N8 0.8138 0.0619 0.8970
N9 0.8783 0.6144 0.3923
N10 0.7976 0.8682 0.7500
N11 0.3805 0.6981 0.0420
N12 0.1217 0.3856 0.8923
N13 0.6195 0.3019 0.5420
N14 0.3783 0.8856 0.8923
N15 0.7024 0.3682 0.7500
N16 0.1195 0.1981 0.4580
N17 0.2976 0.6318 0.2500
N18 0.1862 0.9381 0.3970
N19 0.6862 0.5619 0.6030
N20 0.1217 0.3856 0.6077
N21 0.3138 0.4381 0.3970
N22 0.8805 0.8019 0.5420
N23 0.6217 0.1144 0.3923
N24 0.1195 0.1981 0.0420
N25 0.1862 0.9381 0.1030
N26 0.3805 0.6981 0.4580
N27 0.8805 0.8019 0.9580
N28 0.6195 0.3019 0.9580
K1 0.7581 0.3494 0.2500
K2 0.7419 0.8494 0.2500
K3 0.2581 0.1506 0.7500
K4 0.2419 0.6506 0.7500



Material: CeTh3
Method: DFT, GGA-PBE
State: relaxed

Results
As for the volume: 31.074 A^3/atom. Its total energy is -28.2 eV/f.u.

Unit cell a=4.9906 b=4.9906 c=4.9906 alpha=90.00 beta=90.00 gamma=90.00
Positions (direct):
Th1 0.5000 0.0000 0.5000
Th2 0.5000 0.5000 0.0000
Th3 0.0000 0.5000 0.5000
Ce1 0.0000 0.0000 0.0000